A plane-wave DFT calculation with meta-GGA r2SCAN was carried out for an optimized crystal structure of SmU2Se5.

Structure (CIF):
```
data_SmU2Se5
_symmetry_space_group_name_H-M 'P n a 21'
_symmetry_Int_Tables_number 33
_cell_length_a 12.434
_cell_length_b 7.846
_cell_length_c 8.392
_cell_angle_alpha 90.00
_cell_angle_beta 90.00
_cell_angle_gamma 90.00
loop_
_symmetry_equiv_pos_as_xyz
'x,y,z'
'-x,-y,z+1/2'
'-x+1/2,y+1/2,z+1/2'
'x+1/2,-y+1/2,z'
loop_
_atom_site_label
_atom_site_type_symbol
_atom_site_fract_x
_atom_site_fract_y
_atom_site_fract_z
_atom_site_occupancy
Sm1 Sm 0.179 0.020 0.000 1
U1 U 0.009 0.574 0.748 1
U2 U 0.179 0.019 0.497 1
Se1 Se 0.000 0.040 0.248 1
Se2 Se 0.098 0.664 0.452 1
Se3 Se 0.099 0.663 0.040 1
Se4 Se 0.184 0.326 0.750 1
Se5 Se 0.215 0.300 0.248 1
```

Properties
Final energy = -34.466 eV/atom
Spin magnetization = 20.00 Bohr magnetons per cell